Mn12O7F17 | PBE+U | relaxed

## Properties
The calculation puts the total energy at -236.77 eV/cell. The total moment is 53.0 μB/f.u. Its crystal system is triclinic. The calculation puts the formation energy at -2.56 eV/atom. Its symmetry is No. 1.

Unit cell a=4.8005 b=5.7939 c=15.8554 alpha=89.46 beta=89.79 gamma=86.14
Last column: nearest neighbours and their distance in Å.
Fractional coordinates of all 36 atoms:
O (0.7945, 0.8893, 0.6375)  3 Mn 1.93-2.05
O (0.2746, 0.6097, 0.0376)  3 Mn 1.97-2.04
O (0.7146, 0.3941, 0.3101)  3 Mn 1.91-1.99
O (0.7656, 0.1100, 0.7967)  3 Mn 1.94-2.04
O (0.2877, 0.6180, 0.6976)  3 Mn 1.97-2.03
O (0.2838, 0.6084, 0.3582)  3 Mn 1.90-1.99
O (0.7791, 0.1159, 0.1339)  3 Mn 1.98-2.02
F (0.2144, 0.8768, 0.8500)  3 Mn 2.03-2.14
F (0.2406, 0.8900, 0.5217)  3 Mn 2.07-2.14
F (0.2337, 0.8744, 0.1981)  3 Mn 2.01-2.21
F (0.7821, 0.8827, 0.9732)  3 Mn 2.07-2.20
F (0.7453, 0.3845, 0.6433)  3 Mn 2.03-2.13
F (0.7298, 0.3823, 0.9795)  3 Mn 2.02-2.16
F (0.7603, 0.8928, 0.3053)  3 Mn 2.08-2.15
F (0.2707, 0.3700, 0.1900)  2 Mn 2.00-2.12
F (0.7346, 0.5997, 0.8151)  3 Mn 2.16-2.22
F (0.2731, 0.3813, 0.5216)  2 Mn 2.04-2.15
F (0.2789, 0.3824, 0.8617)  3 Mn 2.07-2.23
F (0.7290, 0.6234, 0.4868)  2 Mn 2.06-2.13
F (0.2583, 0.1222, 0.6900)  3 Mn 2.07-2.30
F (0.2095, 0.1136, 0.3550)  3 Mn 2.12-2.22
F (0.7347, 0.6172, 0.1512)  2 Mn 2.02-2.18
F (0.7554, 0.1201, 0.4671)  3 Mn 2.00-2.20
F (0.2393, 0.1025, 0.0174)  3 Mn 2.18-2.19
Mn (0.4908, 0.3547, 0.4107)  2 O 1.90-1.94, 2 F 2.00-2.04
Mn (0.4759, 0.6698, 0.9268)  1 O 2.04, 5 F 2.07-2.23
Mn (0.4992, 0.6440, 0.2573)  2 O 1.91-1.92, 3 F 2.01-2.12
Mn (0.9633, 0.1705, 0.2454)  2 O 1.99-2.02, 4 F 2.12-2.21
Mn (0.9984, 0.8220, 0.4129)  1 O 1.99, 5 F 2.08-2.22
Mn (0.0011, 0.1496, 0.5814)  5 F 2.03-2.18, 1 O 2.05
Mn (0.5046, 0.3474, 0.7508)  2 O 1.94-2.00, 4 F 2.07-2.16
Mn (0.9782, 0.1630, 0.9052)  1 O 2.04, 5 F 2.06-2.20
Mn (0.4955, 0.3390, 0.0840)  2 O 1.97-1.98, 3 F 2.00-2.18
Mn (0.5145, 0.6881, 0.5981)  2 O 1.95-1.97, 3 F 2.06-2.13
Mn (0.9847, 0.8447, 0.7438)  3 O 1.93-2.03, 1 F 2.03
Mn (0.0044, 0.8460, 0.0848)  2 O 1.97-2.00, 4 F 2.07-2.19

***

Li6VFeP2C2O14 | PBE+U | relaxed

## Properties
The calculation puts the total energy at -352.09 eV/cell. The total moment is 4.0 μB/f.u. Its crystal system is monoclinic. The calculation puts the formation energy at -2.39 eV/atom. Its symmetry is No. 8.

Unit cell a=5.0171 b=10.7560 c=10.7573 alpha=105.09 beta=84.78 gamma=95.24
Last column: nearest neighbours and their distance in Å.
Fractional coordinates of all 52 atoms:
Li (0.7319, 0.1294, 0.8531)  5 O 2.15-2.25
Li (0.7962, 0.0724, 0.1777)  4 O 1.91-2.13
Li (0.2669, 0.5992, 0.8763)  5 O 2.13-2.28
Li (0.7317, 0.8969, 0.6206)  5 O 2.15-2.25
Li (0.7962, 0.5723, 0.6776)  4 O 1.91-2.13
Li (0.2668, 0.8737, 0.1509)  5 O 2.13-2.29
Li (0.2044, 0.9267, 0.8234)  2 O 1.91-2.01
Li (0.2674, 0.3735, 0.6509)  5 O 2.13-2.28
Li (0.7299, 0.3965, 0.1206)  5 O 2.15-2.23
Li (0.2037, 0.4268, 0.3233)  2 O 1.91-2.01
Li (0.7301, 0.6294, 0.3535)  5 O 2.14-2.23
Li (0.2674, 0.0991, 0.3766)  5 O 2.13-2.28
O (0.9183, 0.3423, 0.4077)  1 C 1.30
O (0.1612, 0.6214, 0.3146)  1 P 1.56
O (0.5121, 0.2048, 0.0463)  1 C 1.31
O (0.0799, 0.6568, 0.5934)  1 C 1.29
O (0.6051, 0.4282, 0.3219)  1 C 1.29
O (0.5815, 0.5906, 0.1593)  1 P 1.56
O (0.8301, 0.8377, 0.4125)  1 P 1.54
O (0.6062, 0.9283, 0.8218)  1 C 1.29
O (0.3964, 0.0722, 0.1779)  1 C 1.30
O (0.1688, 0.1620, 0.5880)  1 P 1.54
O (0.4177, 0.4092, 0.8404)  1 P 1.57
O (0.5828, 0.0907, 0.6592)  1 P 1.56
O (0.8301, 0.3374, 0.9123)  1 P 1.54
O (0.3964, 0.5721, 0.6778)  1 C 1.30
O (0.8402, 0.8802, 0.1863)  1 P 1.56
O (0.1629, 0.1214, 0.8146)  1 P 1.56
O (0.1610, 0.4353, 0.1285)  1 P 1.56
O (0.8404, 0.5636, 0.8698)  1 P 1.56
O (0.4177, 0.9096, 0.3408)  1 P 1.57
O (0.5121, 0.7039, 0.5454)  1 C 1.31
O (0.9186, 0.8422, 0.9079)  1 C 1.30
O (0.8408, 0.3803, 0.6863)  1 P 1.56
O (0.1681, 0.6621, 0.0880)  1 P 1.54
O (0.4863, 0.7961, 0.9537)  1 C 1.31
O (0.0799, 0.1565, 0.0932)  1 C 1.29
O (0.4863, 0.2960, 0.4539)  1 C 1.31
O (0.8409, 0.0638, 0.3697)  1 P 1.56
O (0.1627, 0.9353, 0.6285)  1 P 1.56
V (0.7915, 0.2120, 0.5380)  6 O 2.09-2.24
V (0.7907, 0.7119, 0.0381)  6 O 2.09-2.24
P (0.7320, 0.9198, 0.3303)  4 O 1.54-1.57
P (0.2684, 0.5803, 0.1697)  4 O 1.54-1.56
P (0.2697, 0.0803, 0.6697)  4 O 1.54-1.56
P (0.7320, 0.4196, 0.8302)  4 O 1.54-1.57
C (0.3284, 0.6431, 0.6067)  3 O 1.29-1.31
C (0.3284, 0.1434, 0.1070)  3 O 1.29-1.31
C (0.6700, 0.3570, 0.3931)  3 O 1.29-1.31
C (0.6705, 0.8570, 0.8930)  3 O 1.29-1.31
Fe (0.2108, 0.2900, 0.9601)  6 O 2.07-2.30
Fe (0.2106, 0.7898, 0.4599)  6 O 2.07-2.30

***

Li4Mn8O13F3 | PBE+U | relaxed

## Properties
The calculation puts the total energy at -189.86 eV/cell. The total moment is 31.0 μB/f.u. Its crystal system is triclinic. The calculation puts the formation energy at -2.23 eV/atom. Its symmetry is No. 1.

Unit cell a=5.9920 b=6.0815 c=10.3356 alpha=74.04 beta=76.12 gamma=60.51
Last column: nearest neighbours and their distance in Å.
Fractional coordinates of all 28 atoms:
O (0.1416, 0.0982, 0.1489)  3 Mn 1.95-2.17, 1 Li 2.03
O (0.0871, 0.1046, 0.6345)  3 Mn 1.96-2.02, 1 Li 2.08
O (0.5863, 0.1779, 0.1343)  3 Mn 1.95-2.00, 1 Li 2.08
O (0.5794, 0.6195, 0.1356)  3 Mn 1.95-2.09, 1 Li 2.10
O (0.1200, 0.6503, 0.1341)  1 Mn 1.85, 1 Li 1.98
O (0.9192, 0.8785, 0.3667)  3 Mn 1.96-2.10, 1 Li 2.05
O (0.9121, 0.3180, 0.3679)  3 Mn 1.97-2.00, 1 Li 2.08
O (0.0865, 0.6732, 0.6349)  3 Mn 1.97-2.00, 1 Li 2.05
O (0.3562, 0.4011, 0.3533)  3 Mn 1.94-2.17, 1 Li 2.03
O (0.6541, 0.5958, 0.6462)  2 Mn 1.94, 1 Li 2.01
O (0.4095, 0.8301, 0.8647)  3 Mn 1.97-1.98, 1 Li 2.05
O (0.4070, 0.3986, 0.8658)  3 Mn 1.96-2.02, 1 Li 2.08
O (0.8421, 0.9063, 0.8547)  2 Mn 1.93-1.94, 1 Li 2.03
Mn (0.7479, 0.2514, 0.7515)  4 O 1.94-2.00
Mn (0.2434, 0.2600, 0.2470)  5 O 1.95-2.17
Mn (0.9999, 0.9940, 0.5006)  4 O 1.96-1.97
Mn (0.2478, 0.7515, 0.7504)  4 O 1.97-2.02
Mn (0.7480, 0.7503, 0.7512)  4 O 1.93-2.00
Mn (0.4851, 0.5111, 0.0028)  5 O 1.96-2.17
Mn (0.2439, 0.7456, 0.2459)  5 O 1.85-1.96
Mn (0.7485, 0.2489, 0.2500)  6 O 1.95-2.17
Li (0.2648, 0.3412, 0.5575)  1 F 1.92, 3 O 2.03-2.08
Li (0.2312, 0.1591, 0.9442)  1 F 1.92, 3 O 2.03-2.08
Li (0.7832, 0.8364, 0.0610)  4 O 1.98-2.10
Li (0.7298, 0.6577, 0.4432)  1 F 1.98, 3 O 2.01-2.08
F (0.3922, 0.8446, 0.3726)  1 Li 1.98, 1 Mn 2.09
F (0.6029, 0.1366, 0.6134)  1 Li 1.92
F (0.8934, 0.3665, 0.8868)  1 Li 1.92

***

Li4CrTe3O12 | PBE+U | relaxed

## Properties
The calculation puts the total energy at -113.64 eV/cell. The total moment is 3.7 μB/f.u. Its crystal system is monoclinic. The calculation puts the formation energy at -1.89 eV/atom. Its symmetry is No. 3.

Unit cell a=8.6083 b=5.0332 c=5.2228 alpha=89.38 beta=90.00 gamma=90.00
Last column: nearest neighbours and their distance in Å.
Fractional coordinates of all 20 atoms:
O (0.9109, 0.2020, 0.3282)  1 Li 1.92, 1 Te 1.95, 1 Cr 2.00
O (0.0752, 0.1999, 0.8149)  1 Li 1.92, 1 Te 1.94, 1 Cr 2.05
O (0.2357, 0.7658, 0.6627)  2 Te 2.01-2.10, 1 Li 2.18
O (0.2357, 0.2342, 0.3373)  2 Te 2.01-2.10, 1 Li 2.18
O (0.4230, 0.7052, 0.1625)  2 Te 2.04-2.05, 1 Li 2.05
O (0.9109, 0.7980, 0.6718)  1 Li 1.92, 1 Te 1.95, 1 Cr 2.00
O (0.5737, 0.2929, 0.3212)  2 Te 1.98-2.09, 1 Li 2.06
O (0.4230, 0.2948, 0.8375)  2 Te 2.04-2.05, 1 Li 2.05
O (0.7438, 0.7381, 0.1600)  1 Te 1.91, 1 Cr 2.05
O (0.0752, 0.8001, 0.1851)  1 Li 1.92, 1 Te 1.94, 1 Cr 2.05
O (0.7438, 0.2619, 0.8400)  1 Te 1.91, 1 Cr 2.05
O (0.5737, 0.7071, 0.6788)  2 Te 1.98-2.09, 1 Li 2.06
Cr (0.8997, 0.0000, 0.0000)  6 O 2.00-2.05
Li (0.2896, 0.0000, 0.0000)  4 O 2.05-2.18
Li (0.1529, 0.5000, 0.0000)  2 O 1.92
Li (0.8203, 0.5000, 0.5000)  2 O 1.92
Li (0.7022, 0.0000, 0.5000)  6 O 2.06-2.25
Te (0.6017, 0.5000, 0.0000)  6 O 1.91-2.04
Te (0.0739, 0.0000, 0.5000)  6 O 1.94-2.01
Te (0.3942, 0.5000, 0.5000)  6 O 2.05-2.10